Mg3ZnO4: optimized geometry, PBE.

**Spin magnetization**: 0.00 μB per formula unit
**Energy above the most stable polymorph in this dataset**: 0.02 eV/f.u.
**Space group**: P4/mmm (123)
**VASP energy**: -5.59 eV/atom
**Energy relative to the elements**: -2703 meV per atom

a b c (Å): 3.0262 3.0262 8.5532
angles (deg): 90.00 90.00 90.00
With the nearest neighbours (Å) after each atom.
Fractional positions:
Mg 0.0000 0.0000 0.0000  6 O 2.11-2.14
Mg 0.5000 0.5000 0.2504  6 O 2.13-2.14
Mg 0.5000 0.5000 0.7496  6 O 2.13-2.14
Zn 0.0000 0.0000 0.5000  6 O 2.14-2.16
O 0.0000 0.0000 0.2469  5 Mg 2.11-2.14, 1 Zn 2.16
O 0.0000 0.0000 0.7531  5 Mg 2.11-2.14, 1 Zn 2.16
O 0.5000 0.5000 0.0000  6 Mg 2.14
O 0.5000 0.5000 0.5000  2 Mg 2.13, 4 Zn 2.14

=====

MgHgSb2O6: optimized geometry, PBE.

**Spin magnetization**: 0.00 μB per formula unit
**Energy above the most stable polymorph in this dataset**: 1.74 eV/f.u.
**Space group**: C2 (5)
**VASP energy**: -5.24 eV/atom
**Energy relative to the elements**: -1664 meV per atom

a b c (Å): 5.5880 5.5880 5.3756
angles (deg): 90.17 90.17 119.71
With the nearest neighbours (Å) after each atom.
Fractional positions:
Mg 0.0000 0.0000 0.0000  6 O 2.13-2.14
Hg 0.3339 0.6661 0.0000  6 O 2.52-2.55
Sb 0.0016 0.9984 0.5000  6 O 2.03
Sb 0.6682 0.3318 0.5000  6 O 2.31-2.34
O 0.2923 0.2729 0.7358  1 Sb 2.03, 1 Mg 2.14
O 0.2932 0.0153 0.2659  1 Sb 2.03, 1 Mg 2.14
O 0.7265 0.0176 0.7322  1 Sb 2.03, 1 Mg 2.13
O 0.7271 0.7077 0.2642  1 Sb 2.03, 1 Mg 2.14
O 0.9824 0.2735 0.2678  1 Sb 2.03, 1 Mg 2.13
O 0.9847 0.7068 0.7341  1 Sb 2.03, 1 Mg 2.14

=====

SnCl4O5: optimized geometry, PBE.

**Spin magnetization**: 4.00 μB per formula unit
**Space group**: C2/c (15)
**VASP energy**: -3.50 eV/atom
**Energy relative to the elements**: 113 meV per atom

a b c (Å): 7.5361 7.5361 9.1758
angles (deg): 103.04 103.04 74.63
With the nearest neighbours (Å) after each atom.
Fractional positions:
Sn 0.2362 0.7638 0.7500  2 O 2.16, 2 Cl 2.35
Sn 0.7638 0.2362 0.2500  2 O 2.16, 2 Cl 2.35
Cl 0.0325 0.2038 0.4398  1 Sn 2.35
Cl 0.1480 0.5389 0.8677  1 O 2.48, 1 Sn 2.50
Cl 0.2038 0.0325 0.9398  1 Sn 2.35
Cl 0.4611 0.8520 0.6323  1 O 2.48, 1 Sn 2.50
Cl 0.5389 0.1480 0.3677  1 O 2.48, 1 Sn 2.50
Cl 0.7962 0.9675 0.0602  1 Sn 2.35
Cl 0.8520 0.4611 0.1323  1 O 2.48, 1 Sn 2.50
Cl 0.9675 0.7962 0.5602  1 Sn 2.35
O 0.2806 0.5651 0.2938  1 O 1.29
O 0.2857 0.7143 0.2500  2 O 1.29
O 0.3254 0.4708 0.6568  1 Sn 2.16, 1 O 2.31
O 0.4349 0.7194 0.2062  1 O 1.29
O 0.4708 0.3254 0.1568  1 Sn 2.16, 1 O 2.31
O 0.5292 0.6746 0.8432  1 Sn 2.16, 1 O 2.31
O 0.5651 0.2806 0.7938  1 O 1.29
O 0.6746 0.5292 0.3432  1 Sn 2.16, 1 O 2.31
O 0.7143 0.2857 0.7500  2 O 1.29
O 0.7194 0.4349 0.7062  1 O 1.29

=====

MnCdTe: optimized geometry, PBE.

**Spin magnetization**: 2.88 μB per formula unit
**Energy above the most stable polymorph in this dataset**: 0.00 eV/f.u.
**Space group**: Cc (9)
**VASP energy**: -4.26 eV/atom
**Energy relative to the elements**: 11 meV per atom

a b c (Å): 5.3114 5.3114 5.4056
angles (deg): 119.90 119.90 74.06
With the nearest neighbours (Å) after each atom.
Fractional positions:
Mn 0.0016 0.9984 0.5000  2 Mn 2.70, 4 Te 2.73-2.81, 4 Cd 2.75-2.87
Mn 0.9984 0.0016 0.0000  2 Mn 2.70, 4 Te 2.73-2.81, 4 Cd 2.75-2.87
Cd 0.1926 0.5064 0.0951  4 Mn 2.75-2.87, 1 Te 3.02
Cd 0.5064 0.1926 0.5951  4 Mn 2.75-2.87, 1 Te 3.02
Te 0.4969 0.8488 0.9219  4 Mn 2.73-2.81, 1 Cd 3.02
Te 0.8488 0.4969 0.4219  4 Mn 2.73-2.81, 1 Cd 3.02

=====

MgBe4Cu: optimized geometry, PBE.

**Spin magnetization**: 0.00 μB per formula unit
**Space group**: F-43m (216)
**VASP energy**: -3.47 eV/atom
**Energy relative to the elements**: -24 meV per atom

a b c (Å): 4.4176 4.4176 4.4176
angles (deg): 60.00 60.00 60.00
With the nearest neighbours (Å) after each atom.
Fractional positions:
Mg 0.0000 0.0000 0.0000  12 Be 2.59, 4 Cu 2.71
Be 0.3764 0.3764 0.3764  6 Be 2.18-2.23
Be 0.3764 0.3764 0.8707  6 Be 2.18-2.23
Be 0.3764 0.8707 0.3764  6 Be 2.18-2.23
Be 0.8707 0.3764 0.3764  6 Be 2.18-2.23
Cu 0.7500 0.7500 0.7500  12 Be 2.59, 4 Mg 2.71

=====

CeMgNi4: optimized geometry, PBE.

**Space group**: F-43m (216)
**VASP energy**: -5.50 eV/atom
**Energy relative to the elements**: -394 meV per atom

a b c (Å): 4.9593 4.9593 4.9593
angles (deg): 60.00 60.00 60.00
With the nearest neighbours (Å) after each atom.
Fractional positions:
Ce 0.0000 0.0000 0.0000  12 Ni 2.91, 4 Mg 3.04
Mg 0.2500 0.2500 0.2500  12 Ni 2.91, 4 Ce 3.04
Ni 0.1287 0.6238 0.6238  6 Ni 2.46-2.50
Ni 0.6238 0.1287 0.6238  6 Ni 2.46-2.50
Ni 0.6238 0.6238 0.1287  6 Ni 2.46-2.50
Ni 0.6238 0.6238 0.6238  6 Ni 2.46-2.50

=====

TmO2: optimized geometry, PBE.

**Spin magnetization**: 1.00 μB per formula unit
**Space group**: P2_1/m (11)
**VASP energy**: -7.56 eV/atom
**Energy relative to the elements**: -3227 meV per atom

a b c (Å): 4.1481 3.5795 6.0663
angles (deg): 90.00 107.58 90.00
With the nearest neighbours (Å) after each atom.
Fractional positions:
Tm 0.1697 0.2500 0.3145  7 O 2.21-2.40
Tm 0.8303 0.7500 0.6855  7 O 2.21-2.40
O 0.1841 0.7500 0.0535  3 Tm 2.27-2.40, 2 O 2.31
O 0.2669 0.7500 0.5475  4 Tm 2.21-2.24
O 0.7331 0.2500 0.4525  4 Tm 2.21-2.24
O 0.8159 0.2500 0.9465  3 Tm 2.27-2.40, 2 O 2.31

=====

V3S4: optimized geometry, PBE.

**Energy above the most stable polymorph in this dataset**: 0.14 eV/f.u.
**Space group**: C2/m (12)
**VASP energy**: -7.25 eV/atom
**Energy relative to the elements**: -1280 meV per atom

a b c (Å): 6.5163 6.5163 5.8634
angles (deg): 114.49 114.49 28.86
With the nearest neighbours (Å) after each atom.
Fractional positions:
V 0.0000 0.0000 0.0000  6 S 2.39-2.44
V 0.2579 0.2579 0.3188  6 S 2.31-2.58
V 0.7421 0.7421 0.6812  6 S 2.31-2.58
S 0.1095 0.1095 0.4492  4 V 2.31-2.39
S 0.3593 0.3593 0.0191  5 V 2.44-2.58
S 0.6407 0.6407 0.9809  5 V 2.44-2.58
S 0.8905 0.8905 0.5508  4 V 2.31-2.39

=====

Y2CuRu: optimized geometry, PBE.

**Space group**: Fm-3m (225)
**VASP energy**: -6.90 eV/atom
**Energy relative to the elements**: -320 meV per atom

a b c (Å): 4.8722 4.8722 4.8722
angles (deg): 60.00 60.00 60.00
With the nearest neighbours (Å) after each atom.
Fractional positions:
Y 0.2500 0.2500 0.2500  4 Ru 2.98, 4 Cu 2.98
Y 0.7500 0.7500 0.7500  4 Ru 2.98, 4 Cu 2.98
Cu 0.0000 0.0000 0.0000  8 Y 2.98
Ru 0.5000 0.5000 0.5000  8 Y 2.98

=====

SrSiO3: optimized geometry, PBE.

**Spin magnetization**: 0.00 μB per formula unit
**Space group**: P2_1/c (14)
**VASP energy**: -7.39 eV/atom
**Energy relative to the elements**: -3406 meV per atom

a b c (Å): 7.5499 6.1563 13.6259
angles (deg): 90.00 116.77 90.00
With the nearest neighbours (Å) after each atom.
Fractional positions:
Sr 0.2152 0.1010 0.1261  7 O 2.52-2.79
Sr 0.2152 0.3990 0.6261  7 O 2.52-2.79
Sr 0.2575 0.5909 0.3416  5 O 2.46-2.71
Sr 0.2575 0.9091 0.8416  5 O 2.46-2.71
Sr 0.7425 0.0909 0.1584  5 O 2.46-2.71
Sr 0.7425 0.4091 0.6584  5 O 2.46-2.71
Sr 0.7848 0.6010 0.3739  7 O 2.52-2.79
Sr 0.7848 0.8990 0.8739  7 O 2.52-2.79
Si 0.1586 0.0883 0.4081  4 O 1.62-1.71
Si 0.1586 0.4117 0.9081  4 O 1.62-1.71
Si 0.4495 0.6496 0.1183  4 O 1.61-1.70
Si 0.4495 0.8504 0.6183  4 O 1.61-1.70
Si 0.5505 0.1496 0.3817  4 O 1.61-1.70
Si 0.5505 0.3504 0.8817  4 O 1.61-1.70
Si 0.8414 0.5883 0.0919  4 O 1.62-1.71
Si 0.8414 0.9117 0.5919  4 O 1.62-1.71
O 0.0122 0.6150 0.8520  1 Si 1.62
O 0.0122 0.8850 0.3520  1 Si 1.62
O 0.0586 0.1754 0.9007  1 Si 1.62
O 0.0586 0.3246 0.4007  1 Si 1.62
O 0.3087 0.0891 0.3448  2 Si 1.70-1.71
O 0.3087 0.4109 0.8448  2 Si 1.70-1.71
O 0.3158 0.0582 0.5421  2 Si 1.67-1.68
O 0.3158 0.4418 0.0421  2 Si 1.67-1.68
O 0.3973 0.6287 0.5479  1 Si 1.61
O 0.3973 0.8713 0.0479  1 Si 1.61
O 0.4338 0.6698 0.2318  1 Si 1.61
O 0.4338 0.8302 0.7318  1 Si 1.61
O 0.5662 0.1698 0.2682  1 Si 1.61
O 0.5662 0.3302 0.7682  1 Si 1.61
O 0.6027 0.1287 0.9521  1 Si 1.61
O 0.6027 0.3713 0.4521  1 Si 1.61
O 0.6842 0.5582 0.9579  2 Si 1.67-1.68
O 0.6842 0.9418 0.4579  2 Si 1.67-1.68
O 0.6913 0.5891 0.1552  2 Si 1.70-1.71
O 0.6913 0.9109 0.6552  2 Si 1.70-1.71
O 0.9414 0.6754 0.5993  1 Si 1.62
O 0.9414 0.8246 0.0993  1 Si 1.62
O 0.9878 0.1150 0.6480  1 Si 1.62
O 0.9878 0.3850 0.1480  1 Si 1.62

=====

YOs3: optimized geometry, PBE.

**Spin magnetization**: 0.02 μB per formula unit
**Space group**: P6_3/mmc (194)
**VASP energy**: -9.60 eV/atom
**Energy relative to the elements**: 439 meV per atom

a b c (Å): 5.8425 5.8425 4.6376
angles (deg): 90.00 90.00 120.00
With the nearest neighbours (Å) after each atom.
Fractional positions:
Y 0.3333 0.6667 0.2500  12 Os 2.92-2.93
Y 0.6667 0.3333 0.7500  12 Os 2.92-2.93
Os 0.1565 0.3130 0.7500  6 Os 2.74-2.81, 4 Y 2.92-2.93
Os 0.1565 0.8435 0.7500  6 Os 2.74-2.81, 4 Y 2.92-2.93
Os 0.3130 0.1565 0.2500  6 Os 2.74-2.81, 4 Y 2.92-2.93
Os 0.6870 0.8435 0.7500  6 Os 2.74-2.81, 4 Y 2.92-2.93
Os 0.8435 0.1565 0.2500  6 Os 2.74-2.81, 4 Y 2.92-2.93
Os 0.8435 0.6870 0.2500  6 Os 2.74-2.81, 4 Y 2.92-2.93

=====

Zn2P2O7: optimized geometry, PBE.

**Spin magnetization**: 0.00 μB per formula unit
**Energy above the most stable polymorph in this dataset**: 0.25 eV/f.u.
**Space group**: C2/c (15)
**VASP energy**: -6.34 eV/atom
**Energy relative to the elements**: -2410 meV per atom

a b c (Å): 10.8050 10.8050 9.2381
angles (deg): 98.75 98.75 45.69
With the nearest neighbours (Å) after each atom.
Fractional positions:
Zn 0.1275 0.5053 0.2896  5 O 1.97-2.12
Zn 0.1557 0.5180 0.8382  6 O 2.06-2.25
Zn 0.1735 0.7981 0.9594  5 O 2.00-2.13
Zn 0.2019 0.8265 0.5406  5 O 2.00-2.13
Zn 0.4820 0.8443 0.6618  6 O 2.06-2.25
Zn 0.4947 0.8725 0.2104  5 O 1.97-2.12
Zn 0.5053 0.1275 0.7896  5 O 1.97-2.12
Zn 0.5180 0.1557 0.3382  6 O 2.06-2.25
Zn 0.7981 0.1735 0.4594  5 O 2.00-2.13
Zn 0.8265 0.2019 0.0406  5 O 2.00-2.13
Zn 0.8443 0.4820 0.1618  6 O 2.06-2.25
Zn 0.8725 0.4947 0.7104  5 O 1.97-2.12
P 0.0955 0.1102 0.3191  4 O 1.50-1.61
P 0.1102 0.0955 0.8191  4 O 1.50-1.61
P 0.2202 0.2565 0.5370  4 O 1.54-1.60
P 0.2565 0.2202 0.0370  4 O 1.54-1.60
P 0.4150 0.4541 0.1387  4 O 1.51-1.62
P 0.4541 0.4150 0.6387  4 O 1.51-1.62
P 0.5459 0.5850 0.3613  4 O 1.51-1.62
P 0.5850 0.5459 0.8613  4 O 1.51-1.62
P 0.7435 0.7798 0.9630  4 O 1.54-1.60
P 0.7798 0.7435 0.4630  4 O 1.54-1.60
P 0.8898 0.9045 0.1809  4 O 1.50-1.61
P 0.9045 0.8898 0.6809  4 O 1.50-1.61
O 0.0266 0.7371 0.2553  1 P 1.50
O 0.0360 0.0460 0.9002  1 P 1.55
O 0.0460 0.0360 0.4002  1 P 1.55
O 0.0567 0.7536 0.7864  1 P 1.55
O 0.0923 0.3772 0.1169  1 P 1.54
O 0.0943 0.4120 0.6438  1 P 1.54
O 0.1073 0.2221 0.4470  2 P 1.60-1.61
O 0.2221 0.1073 0.9470  2 P 1.60-1.61
O 0.2464 0.9433 0.7136  1 P 1.55
O 0.2627 0.5735 0.0255  1 P 1.55
O 0.2629 0.9734 0.2447  1 P 1.50
O 0.2791 0.2989 0.4280  1 P 1.54
O 0.2989 0.2791 0.9280  1 P 1.54
O 0.3111 0.5884 0.5729  1 P 1.51
O 0.3696 0.3839 0.2317  1 P 1.55
O 0.3772 0.0923 0.6169  1 P 1.54
O 0.3839 0.3696 0.7317  1 P 1.55
O 0.4120 0.0943 0.1438  1 P 1.54
O 0.4116 0.6889 0.9271  1 P 1.51
O 0.4137 0.5863 0.2500  2 P 1.62
O 0.4265 0.7373 0.4745  1 P 1.55
O 0.5735 0.2627 0.5255  1 P 1.55
O 0.5863 0.4137 0.7500  2 P 1.62
O 0.5884 0.3111 0.0729  1 P 1.51
O 0.5880 0.9057 0.8562  1 P 1.54
O 0.6161 0.6304 0.2683  1 P 1.55
O 0.6228 0.9077 0.3831  1 P 1.54
O 0.6304 0.6161 0.7683  1 P 1.55
O 0.6889 0.4116 0.4271  1 P 1.51
O 0.7011 0.7209 0.0720  1 P 1.54
O 0.7209 0.7011 0.5720  1 P 1.54
O 0.7371 0.0266 0.7553  1 P 1.50
O 0.7373 0.4265 0.9745  1 P 1.55
O 0.7536 0.0567 0.2864  1 P 1.55
O 0.7779 0.8927 0.0530  2 P 1.60-1.61
O 0.8927 0.7779 0.5530  2 P 1.60-1.61
O 0.9057 0.5880 0.3562  1 P 1.54
O 0.9077 0.6228 0.8831  1 P 1.54
O 0.9433 0.2464 0.2136  1 P 1.55
O 0.9540 0.9640 0.5998  1 P 1.55
O 0.9640 0.9540 0.0998  1 P 1.55
O 0.9734 0.2629 0.7447  1 P 1.50

=====

KTa2O6: optimized geometry, PBE.

**Spin magnetization**: 0.98 μB per formula unit
**Space group**: Imma (74)
**VASP energy**: -8.55 eV/atom
**Energy relative to the elements**: -2951 meV per atom

a b c (Å): 7.5450 7.5450 7.5450
angles (deg): 119.79 119.58 90.55
With the nearest neighbours (Å) after each atom.
Fractional positions:
K 0.0000 0.0000 0.0000  6 O 2.75-2.76
K 0.5000 0.0000 0.5000  6 O 2.75-2.76
Ta 0.0000 0.5000 0.5000  6 O 1.99-2.00
Ta 0.5000 0.0000 0.0000  6 O 1.99-2.00
Ta 0.5000 0.5000 0.0000  6 O 1.99-2.00
Ta 0.5000 0.5000 0.5000  6 O 1.99-2.00
O 0.1899 0.4368 0.3799  2 Ta 1.99
O 0.1899 0.8100 0.7531  2 Ta 1.99
O 0.1911 0.4411 0.7500  2 Ta 2.00
O 0.4380 0.1880 0.2500  2 Ta 2.00
O 0.4431 0.1900 0.8799  2 Ta 1.99
O 0.4431 0.5632 0.2531  2 Ta 1.99
O 0.5569 0.4368 0.7469  2 Ta 1.99
O 0.5569 0.8100 0.1201  2 Ta 1.99
O 0.5620 0.8120 0.7500  2 Ta 2.00
O 0.8089 0.5589 0.2500  2 Ta 2.00
O 0.8101 0.1900 0.2469  2 Ta 1.99
O 0.8101 0.5632 0.6201  2 Ta 1.99

=====

ZrSi2O2: optimized geometry, PBE.

**Spin magnetization**: 0.00 μB per formula unit
**Space group**: I4_1/amd (141)
**VASP energy**: -6.88 eV/atom
**Energy relative to the elements**: -1300 meV per atom

a b c (Å): 10.0783 10.0783 10.0783
angles (deg): 131.50 131.50 71.02
With the nearest neighbours (Å) after each atom.
Fractional positions:
Zr 0.0000 0.0000 0.0000  2 O 2.06
Zr 0.0000 0.0000 0.5000  2 O 2.06
Zr 0.0000 0.5000 0.0000  2 O 2.06
Zr 0.5000 0.0000 0.5000  2 O 2.06
Si 0.1797 0.2194 0.9602  1 O 1.63
Si 0.2194 0.1797 0.4602  1 O 1.63
Si 0.2194 0.7592 0.0398  1 O 1.63
Si 0.2408 0.7806 0.4602  1 O 1.63
Si 0.7592 0.2194 0.5398  1 O 1.63
Si 0.7806 0.2408 0.9602  1 O 1.63
Si 0.7806 0.8203 0.5398  1 O 1.63
Si 0.8203 0.7806 0.0398  1 O 1.63
O 0.1250 0.1462 0.5212  1 Si 1.63
O 0.1250 0.6039 0.9788  1 Si 1.63
O 0.1462 0.1250 0.0212  1 Si 1.63
O 0.3961 0.8750 0.5212  1 Si 1.63
O 0.6039 0.1250 0.4788  1 Si 1.63
O 0.8538 0.8750 0.9788  1 Si 1.63
O 0.8750 0.3961 0.0212  1 Si 1.63
O 0.8750 0.8538 0.4788  1 Si 1.63

=====

CeCu2Si: optimized geometry, PBE.

**Spin magnetization**: 0.35 μB per formula unit
**Space group**: Cmcm (63)
**VASP energy**: -5.29 eV/atom
**Energy relative to the elements**: -387 meV per atom

a b c (Å): 8.9263 8.9263 4.0783
angles (deg): 90.00 90.00 154.23
With the nearest neighbours (Å) after each atom.
Fractional positions:
Ce 0.1101 0.8899 0.7500  4 Si 3.06, 10 Cu 3.12-3.25
Ce 0.8899 0.1101 0.2500  4 Si 3.06, 10 Cu 3.12-3.25
Cu 0.2507 0.7493 0.2500  4 Si 2.40-2.42
Cu 0.4624 0.5376 0.7500  1 Si 2.38, 2 Cu 2.42
Cu 0.5376 0.4624 0.2500  1 Si 2.38, 2 Cu 2.42
Cu 0.7493 0.2507 0.7500  4 Si 2.40-2.42
Si 0.3259 0.6741 0.7500  5 Cu 2.38-2.42
Si 0.6741 0.3259 0.2500  5 Cu 2.38-2.42